1.
Entry from Materials Project: crystalline CdH4CS2N2O6 at its relaxed geometry (PBE).

Cell lengths 7.802, 16.511, 13.047 Å; angles 90.00, 90.00, 90.00 degrees
Space group Pbca (No. 61)
Symmetry-distinct sites (fractional):
Cd  0.181  0.168  0.182 [8 per cell]
H  0.052  0.687  0.905 [8 per cell]
H  0.157  0.590  0.894 [8 per cell]
H  0.168  0.604  0.618 [8 per cell]
H  0.207  0.539  0.723 [8 per cell]
C  0.110  0.651  0.760 [8 per cell]
S  0.034  0.741  0.702 [8 per cell]
S  0.191  0.573  0.409 [8 per cell]
N  0.107  0.642  0.860 [8 per cell]
N  0.169  0.595  0.697 [8 per cell]
O  0.029  0.570  0.348 [8 per cell]
O  0.076  0.235  0.050 [8 per cell]
O  0.154  0.560  0.129 [8 per cell]
O  0.167  0.095  0.333 [8 per cell]
O  0.181  0.636  0.489 [8 per cell]
O  0.229  0.007  0.952 [8 per cell]

The formation energy is -0.481 eV/atom. The total magnetization is 0.01 Bohr magnetons per cell. The total energy is -5.121 eV per atom.

2.
Entry from Materials Project: crystalline Na10SrSn12 at its relaxed geometry (PBE).

Cell lengths 11.356, 11.356, 11.356 Å; angles 90.00, 90.00, 90.00 degrees
Space group I-43m (No. 217)
Symmetry-distinct sites (fractional):
Na  0.000  0.250  0.500 [12 per cell]
Na  0.194  0.194  0.194 [8 per cell]
Sr  0.000  0.000  0.000 [2 per cell]
Sn  0.092  0.092  0.720 [24 per cell]

The formation energy is -0.265 eV/atom. The total energy is -3.006 eV per atom. Its maximum piezoelectric response is 0.0 C/m2.

3.
Entry from Materials Project: crystalline KBiP2Se6 at its relaxed geometry (PBE).

Cell lengths 7.092, 7.839, 10.454 Å; angles 90.00, 91.70, 90.00 degrees
Space group P2_1 (No. 4)
Symmetry-distinct sites (fractional):
K  0.198  0.000  0.000 [2 per cell]
Bi  0.293  0.247  0.482 [2 per cell]
P  0.192  0.706  0.325 [2 per cell]
P  0.296  0.487  0.201 [2 per cell]
Se  0.074  0.302  0.758 [2 per cell]
Se  0.084  0.285  0.231 [2 per cell]
Se  0.150  0.586  0.519 [2 per cell]
Se  0.327  0.572  0.008 [2 per cell]
Se  0.424  0.899  0.327 [2 per cell]
Se  0.444  0.900  0.688 [2 per cell]

For the polymorph energy (0 for the lowest one), the calculation gives 3 meV per atom. The formation energy is -0.679 eV/atom. The total magnetization is 0.00 Bohr magnetons per cell. The total energy is -4.076 eV per atom.

4.
Entry from Materials Project: crystalline As2Cl3OF5 at its relaxed geometry (PBE).

Cell lengths 6.214, 19.375, 8.037 Å; angles 90.00, 108.25, 90.00 degrees
Space group P2_1/c (No. 14)
Symmetry-distinct sites (fractional):
As  0.052  0.121  0.184 [4 per cell]
As  0.361  0.613  0.684 [4 per cell]
Cl  0.186  0.633  0.866 [4 per cell]
Cl  0.393  0.037  0.711 [4 per cell]
Cl  0.470  0.205  0.842 [4 per cell]
O  0.196  0.578  0.492 [4 per cell]
F  0.019  0.196  0.051 [4 per cell]
F  0.064  0.043  0.300 [4 per cell]
F  0.147  0.655  0.221 [4 per cell]
F  0.240  0.087  0.080 [4 per cell]
F  0.278  0.157  0.352 [4 per cell]

The formation energy is -1.726 eV/atom. The total magnetization is 0.00 Bohr magnetons per cell. The total energy is -4.125 eV per atom.

5.
Entry from Materials Project: crystalline Dy2ZnRu at its relaxed geometry (PBE).

Cell lengths 6.954, 6.954, 6.954 Å; angles 90.00, 90.00, 90.00 degrees
Space group Fm-3m (No. 225)
Symmetry-distinct sites (fractional):
Dy  0.250  0.250  0.250 [8 per cell]
Zn  0.000  0.000  0.000 [4 per cell]
Ru  0.000  0.000  0.500 [4 per cell]

The formation energy is -0.369 eV/atom. The total energy is -5.306 eV per atom.

6.
Entry from Materials Project: crystalline CrB2W at its relaxed geometry (PBE).

Cell lengths 3.013, 3.080, 8.228 Å; angles 90.00, 90.00, 90.00 degrees
Space group Amm2 (No. 38)
Symmetry-distinct sites (fractional):
Cr  0.000  0.000  0.000 [2 per cell]
B  0.000  0.000  0.300 [2 per cell]
B  0.500  0.000  0.423 [2 per cell]
W  0.500  0.000  0.709 [2 per cell]

The formation energy is -0.433 eV/atom. The total energy is -9.425 eV per atom.

7.
Entry from Materials Project: crystalline Y2CuOs at its relaxed geometry (PBE).

Cell lengths 6.868, 6.868, 6.868 Å; angles 90.00, 90.00, 90.00 degrees
Space group Fm-3m (No. 225)
Symmetry-distinct sites (fractional):
Y  0.250  0.250  0.250 [8 per cell]
Cu  0.000  0.000  0.000 [4 per cell]
Os  0.000  0.000  0.500 [4 per cell]

The formation energy is -0.234 eV/atom. The total magnetization is 0.00 Bohr magnetons per cell. The total energy is -7.299 eV per atom.

8.
Entry from Materials Project: crystalline AlCr2B2 at its relaxed geometry (PBE).

Cell lengths 2.927, 11.054, 2.940 Å; angles 90.00, 90.00, 90.00 degrees
Space group Cmmm (No. 65)
Symmetry-distinct sites (fractional):
Al  0.000  0.000  0.000 [2 per cell]
Cr  0.000  0.352  0.500 [4 per cell]
B  0.000  0.206  0.000 [4 per cell]

The formation energy is -0.466 eV/atom. The total energy is -7.748 eV per atom.

9.
Entry from Materials Project: crystalline Na2UP2O9 at its relaxed geometry (PBE).

Cell lengths 13.429, 8.280, 7.050 Å; angles 90.00, 90.00, 90.00 degrees
Space group Pna2_1 (No. 33)
Symmetry-distinct sites (fractional):
Na  0.028  0.021  0.000 [4 per cell]
Na  0.164  0.268  0.729 [4 per cell]
U  0.198  0.752  0.736 [4 per cell]
P  0.079  0.346  0.235 [4 per cell]
P  0.098  0.712  0.236 [4 per cell]
O  0.012  0.829  0.237 [4 per cell]
O  0.020  0.746  0.741 [4 per cell]
O  0.046  0.533  0.226 [4 per cell]
O  0.143  0.299  0.062 [4 per cell]
O  0.146  0.316  0.407 [4 per cell]
O  0.162  0.719  0.416 [4 per cell]
O  0.164  0.729  0.059 [4 per cell]
O  0.171  0.969  0.737 [4 per cell]
O  0.225  0.537  0.741 [4 per cell]

The formation energy is -2.956 eV/atom. The total magnetization is 0.02 Bohr magnetons per cell. The total energy is -7.464 eV per atom.

10.
Entry from Materials Project: crystalline K2LuF5 at its relaxed geometry (PBE).

Cell lengths 11.060, 7.156, 6.610 Å; angles 90.00, 90.00, 90.00 degrees
Space group Pnma (No. 62)
Symmetry-distinct sites (fractional):
K  0.173  0.002  0.026 [8 per cell]
Lu  0.000  0.250  0.565 [4 per cell]
F  0.013  0.250  0.890 [4 per cell]
F  0.077  0.534  0.640 [8 per cell]
F  0.157  0.250  0.371 [4 per cell]
F  0.188  0.750  0.334 [4 per cell]

The formation energy is -3.788 eV/atom. The total energy is -5.539 eV per atom.

Number 1: calculated volume 1680.74 Å³ per cell. Number 2: calculated volume 1464.53 Å³ per cell. Number 3: calculated volume 580.93 Å³ per cell. Number 4: calculated volume 919.04 Å³ per cell. Number 5: calculated volume 336.32 Å³ per cell. Number 6: calculated volume 76.33 Å³ per cell. Number 7: calculated volume 324.02 Å³ per cell. Number 8: calculated volume 95.13 Å³ per cell. Number 9: calculated volume 783.90 Å³ per cell. Number 10: calculated volume 523.17 Å³ per cell.